{"formula": "Nd2InPd2", "functional": "meta-GGA r2SCAN", "state": "optimized geometry", "cell": [[7.843, 0.000, 0.000], [0.000, 7.843, 0.000], [0.000, 0.000, 3.861]], "species": ["Nd", "Nd", "Nd", "Nd", "In", "In", "Pd", "Pd", "Pd", "Pd"], "fractional_positions": [[0.176, 0.324, 0.000], [0.324, 0.824, 0.000], [0.676, 0.176, 0.000], [0.824, 0.676, 0.000], [0.000, 0.000, 0.500], [0.500, 0.500, 0.500], [0.127, 0.627, 0.500], [0.373, 0.127, 0.500], [0.627, 0.873, 0.500], [0.873, 0.373, 0.500]], "magnetic_moment_mub_per_fu": 0.0, "crystal_system": "tetragonal", "sg": "P4/mbm, No. 127", "e_form_ev_per_atom": -0.874}



{"formula": "Ag3AuSe2", "functional": "meta-GGA r2SCAN", "state": "optimized geometry", "cell": [[-5.018, 5.018, 5.018], [5.018, -5.018, 5.018], [5.018, 5.018, -5.018]], "species": ["Ag", "Ag", "Ag", "Ag", "Ag", "Ag", "Ag", "Ag", "Ag", "Ag", "Ag", "Ag", "Au", "Au", "Au", "Au", "Se", "Se", "Se", "Se", "Se", "Se", "Se", "Se"], "fractional_positions": [[0.129, 0.750, 0.879], [0.129, 0.879, 0.250], [0.250, 0.129, 0.879], [0.250, 0.621, 0.371], [0.371, 0.250, 0.621], [0.371, 0.621, 0.750], [0.621, 0.371, 0.250], [0.621, 0.750, 0.371], [0.750, 0.371, 0.621], [0.750, 0.879, 0.129], [0.879, 0.129, 0.750], [0.879, 0.250, 0.129], [0.000, 0.250, 0.500], [0.250, 0.250, 0.250], [0.250, 0.500, 0.000], [0.500, 0.000, 0.250], [0.000, 0.535, 0.500], [0.000, 0.965, 0.500], [0.500, 0.000, 0.535], [0.500, 0.000, 0.965], [0.535, 0.500, 0.000], [0.535, 0.535, 0.535], [0.965, 0.500, 0.000], [0.965, 0.965, 0.965]], "magnetic_moment_mub_per_fu": 0.0, "crystal_system": "cubic", "sg": "I4_132, No. 214", "e_form_ev_per_atom": -0.149}



{"formula": "ScPt", "functional": "meta-GGA r2SCAN", "state": "optimized geometry", "cell": [[3.289, 0.000, 0.000], [0.000, 3.289, 0.000], [0.000, 0.000, 3.289]], "species": ["Sc", "Pt"], "fractional_positions": [[0.000, 0.000, 0.000], [0.500, 0.500, 0.500]], "magnetic_moment_mub_per_fu": 0.0, "crystal_system": "cubic", "sg": "Pm-3m, No. 221", "e_form_ev_per_atom": -1.308}